Below is crystalline Eu2MgCuO4 at its relaxed geometry, with properties calculated at the GGA-PBE level. Values from VASP.

## Properties
The calculated formation energy comes out at -18.904 eV per formula unit. The value obtained for the calculated density is 5.13 g cm⁻³. The value obtained for the corrected total energy (MP2020 scheme) is -8.114 eV/atom. The total magnetization is 1.6798 μB per atom.

Quantum ESPRESSO input file:
```
&SYSTEM
  ibrav = 0, nat = 8, ntyp = 4
/
ATOMIC_SPECIES
Eu 151.96 Eu.upf
Mg 24.30 Mg.upf
Cu 63.55 Cu.upf
O 16.00 O.upf
CELL_PARAMETERS angstrom
-2.1340 1.0910 -3.3012
-2.2808 -3.3628 0.3631
-3.4900 5.5556 6.6127
ATOMIC_POSITIONS angstrom
Eu -4.3703 0.5419 0.4836
Eu -3.5346 2.7419 3.1910
Mg -2.2074 -1.1359 -1.4691
Cu 0.0000 0.0000 0.0000
O -3.9891 0.5285 2.7534
O -3.9157 2.7553 0.9212
O -1.1404 -1.6814 0.1815
O -1.0670 0.5455 -1.6506
```



Below is crystalline Zr5AlSb3 at its relaxed geometry, with properties calculated at the GGA-PBE level. Values from VASP.

## Properties
The calculated formation energy comes out at -6.981 eV per formula unit. The value obtained for the calculated density is 7.29 g cm⁻³. The value obtained for the corrected total energy (MP2020 scheme) is -7.317 eV/atom.

Quantum ESPRESSO input file:
```
&SYSTEM
  ibrav = 0, nat = 18, ntyp = 3
/
ATOMIC_SPECIES
Zr 91.22 Zr.upf
Al 26.98 Al.upf
Sb 121.76 Sb.upf
CELL_PARAMETERS angstrom
4.3561 -7.5450 0.0000
4.3561 7.5450 0.0000
0.0000 0.0000 5.8822
ATOMIC_POSITIONS angstrom
Zr 6.3571 0.0000 4.4116
Zr 1.1776 -2.0397 4.4116
Zr 1.1776 2.0397 4.4116
Zr 2.3552 0.0000 1.4705
Zr 3.1785 -5.5054 1.4705
Zr 3.1785 5.5054 1.4705
Zr 4.3561 -2.5150 0.0000
Zr 4.3561 2.5150 0.0000
Zr 4.3561 2.5150 2.9411
Zr 4.3561 -2.5150 2.9411
Al 0.0000 0.0000 0.0000
Al 0.0000 0.0000 2.9411
Sb 3.3792 0.0000 4.4116
Sb 2.6665 -4.6186 4.4116
Sb 2.6665 4.6186 4.4116
Sb 5.3331 0.0000 1.4705
Sb 1.6896 -2.9265 1.4705
Sb 1.6896 2.9265 1.4705
```



Below is crystalline K2ScHgF6 at its relaxed geometry, with properties calculated at the GGA-PBE level. Values from VASP.

## Properties
The calculated formation energy comes out at -30.804 eV per formula unit. The value obtained for the calculated density is 3.77 g cm⁻³. The value obtained for the corrected total energy (MP2020 scheme) is -5.115 eV/atom. The total magnetization is 0.0973 μB per atom.

Quantum ESPRESSO input file:
```
&SYSTEM
  ibrav = 0, nat = 10, ntyp = 4
/
ATOMIC_SPECIES
K 39.10 K.upf
Sc 44.96 Sc.upf
Hg 200.59 Hg.upf
F 19.00 F.upf
CELL_PARAMETERS angstrom
0.0000 4.5855 4.5855
4.5855 0.0000 4.5855
4.5855 4.5855 0.0000
ATOMIC_POSITIONS angstrom
K 6.8783 6.8783 6.8783
K 2.2928 2.2928 2.2928
Sc 0.0000 0.0000 0.0000
Hg 4.5855 4.5855 4.5855
F 2.0285 4.5855 4.5855
F 4.5855 4.5855 2.0285
F 7.1425 4.5855 4.5855
F 4.5855 2.0285 4.5855
F 4.5855 7.1425 4.5855
F 4.5855 4.5855 7.1425
```



Below is crystalline Li2Mg3Ti6O16 at its relaxed geometry, with properties calculated at the GGA-PBE level. Values from VASP.

## Properties
The calculated formation energy comes out at -89.152 eV per formula unit. The value obtained for the calculated density is 3.44 g cm⁻³. The value obtained for the corrected total energy (MP2020 scheme) is -8.308 eV/atom. The total magnetization is 0.0000 μB per atom.

Quantum ESPRESSO input file:
```
&SYSTEM
  ibrav = 0, nat = 54, ntyp = 4
/
ATOMIC_SPECIES
Li 6.94 Li.upf
Mg 24.30 Mg.upf
Ti 47.87 Ti.upf
O 16.00 O.upf
CELL_PARAMETERS angstrom
8.4754 0.0000 0.0000
0.0000 8.4702 0.0000
0.0000 0.0543 8.4719
ATOMIC_POSITIONS angstrom
Li 4.2758 6.3800 8.4528
Li 3.1836 5.3216 3.1714
Li 7.4212 3.2029 5.3005
Li 0.0381 2.1444 0.0191
Mg 4.2238 2.1199 4.2728
Mg 2.0718 0.0343 2.1434
Mg 6.3095 8.4902 6.3286
Mg 8.4615 6.4046 4.1991
Mg 6.3723 4.2943 2.0849
Mg 2.1346 4.2301 6.3870
Ti 7.3467 1.1286 3.1012
Ti 0.9815 1.0803 5.4222
Ti 3.1647 1.0007 7.5159
Ti 7.4024 7.5237 0.9560
Ti 5.2192 7.4442 3.0497
Ti 3.1090 7.3959 5.3707
Ti 1.1594 5.3813 0.9982
Ti 7.4618 5.3449 7.3825
Ti 5.2958 5.2799 5.2820
Ti 1.0581 3.2446 3.1899
Ti 3.2241 3.1796 1.0894
Ti 5.3971 3.1432 7.4737
O 5.1378 1.2941 7.2714
O 0.9370 1.2109 3.2798
O 3.0637 1.2086 0.9027
O 1.2311 1.2179 7.2335
O 7.5802 1.0518 5.1839
O 5.4751 0.9399 3.2968
O 3.0622 0.9720 5.3897
O 7.5265 0.8986 1.2104
O 3.2888 7.6259 7.2615
O 7.2999 7.5525 3.0822
O 1.2374 7.5845 5.1752
O 3.3425 7.4727 3.2880
O 5.4688 7.3065 1.2384
O 7.3014 7.3158 7.5692
O 5.1747 7.3136 5.1921
O 0.9001 7.2303 1.2006
O 3.2858 5.4736 5.3173
O 7.5316 5.4028 0.9280
O 5.3392 5.4397 3.3490
O 7.3080 5.3670 5.4475
O 0.8866 5.2282 7.5475
O 3.0099 5.1686 1.0353
O 5.4225 5.2148 7.2669
O 1.0239 5.1435 3.0681
O 5.2616 3.3809 5.4038
O 1.1848 3.3096 1.2051
O 7.2476 3.3558 7.4366
O 5.1243 3.2963 0.9244
O 3.0704 3.1574 3.0245
O 1.1015 3.0848 5.1230
O 3.2939 3.1217 7.5439
O 7.5235 3.0508 3.1547
```



Below is crystalline GdCo5P3 at its relaxed geometry, with properties calculated at the GGA-PBE level. Values from VASP.

## Properties
The calculated formation energy comes out at -7.449 eV per formula unit. The value obtained for the calculated density is 8.19 g cm⁻³. The total magnetization is 0.6565 μB per atom.

Quantum ESPRESSO input file:
```
&SYSTEM
  ibrav = 0, nat = 36, ntyp = 3
/
ATOMIC_SPECIES
Gd 157.25 Gd.upf
Co 58.93 Co.upf
P 30.97 P.upf
CELL_PARAMETERS angstrom
3.6523 0.0000 0.0000
0.0000 10.3040 0.0000
0.0000 0.0000 11.7360
ATOMIC_POSITIONS angstrom
Gd 0.9131 6.0081 8.2473
Gd 0.9131 9.4480 2.3793
Gd 2.7392 4.2960 3.4887
Gd 2.7392 0.8560 9.3567
Co 0.9131 7.3741 11.6271
Co 0.9131 8.0819 5.7592
Co 2.7392 2.9299 0.1088
Co 2.7392 2.2221 5.9768
Co 0.9131 4.1870 5.7289
Co 0.9131 0.9651 11.5969
Co 2.7392 6.1171 6.0071
Co 2.7392 9.3390 0.1391
Co 0.9131 2.2758 2.0624
Co 0.9131 2.8763 7.9303
Co 2.7392 8.0283 9.6736
Co 2.7392 7.4278 3.8056
Co 0.9131 9.0905 8.1886
Co 0.9131 6.3656 2.3207
Co 2.7392 1.2136 3.5473
Co 2.7392 3.9385 9.4153
Co 0.9131 4.8197 10.9413
Co 0.9131 0.3323 5.0734
Co 2.7392 5.4844 0.7946
Co 2.7392 9.9717 6.6626
P 0.9131 4.3116 1.3092
P 0.9131 0.8404 7.1772
P 2.7392 5.9924 10.4268
P 2.7392 9.4637 4.5588
P 0.9131 2.7992 10.2093
P 0.9131 2.3529 4.3413
P 2.7392 7.5049 1.5267
P 2.7392 7.9512 7.3946
P 0.9131 6.2106 4.5942
P 0.9131 9.2455 10.4622
P 2.7392 4.0935 7.1418
P 2.7392 1.0585 1.2738
```



Below is crystalline Mg2Si at its relaxed geometry, with properties calculated at the GGA-PBE level. Values from VASP.

## Properties
The calculated formation energy comes out at 0.076 eV per formula unit. The value obtained for the calculated density is 2.25 g cm⁻³. The value obtained for the corrected total energy (MP2020 scheme) is -2.850 eV/atom. The total magnetization is 0.0001 μB per atom.

Quantum ESPRESSO input file:
```
&SYSTEM
  ibrav = 0, nat = 12, ntyp = 2
/
ATOMIC_SPECIES
Mg 24.30 Mg.upf
Si 28.09 Si.upf
CELL_PARAMETERS angstrom
7.8936 0.0000 0.0000
0.0000 4.6717 0.0000
0.0000 0.0727 6.1317
ATOMIC_POSITIONS angstrom
Mg 3.2709 1.1834 4.6368
Mg 5.9010 1.2535 3.0577
Mg 4.6227 3.5610 1.4950
Mg 1.9542 3.4545 0.0082
Mg 1.9926 3.4908 3.0741
Mg 7.2178 3.5973 4.5609
Mg 5.9394 1.2899 6.1235
Mg 0.6759 1.1470 1.5709
Si 0.6195 1.2482 4.6229
Si 3.3273 1.2118 1.5571
Si 7.2741 3.4962 1.5088
Si 4.5663 3.5325 4.5747
```



Below is crystalline PrPd at its relaxed geometry, with properties calculated at the GGA-PBE level. Values from VASP.

## Properties
The calculated formation energy comes out at -1.584 eV per formula unit. The value obtained for the calculated density is 8.13 g cm⁻³.

Quantum ESPRESSO input file:
```
&SYSTEM
  ibrav = 0, nat = 4, ntyp = 2
/
ATOMIC_SPECIES
Pr 140.91 Pr.upf
Pd 106.42 Pd.upf
CELL_PARAMETERS angstrom
-3.9075 0.0000 0.0000
0.0000 0.0000 -4.6950
1.9537 -5.5049 0.0000
ATOMIC_POSITIONS angstrom
Pr -1.9537 -4.0020 -1.1738
Pr 0.0000 -1.5029 -3.5213
Pd -1.9537 -0.9487 -1.1738
Pd 0.0000 -4.5562 -3.5213
```



Below is crystalline LiTm2Ru at its relaxed geometry, with properties calculated at the GGA-PBE level. Values from VASP.

## Properties
The calculated formation energy comes out at -1.348 eV per formula unit. The value obtained for the calculated density is 9.22 g cm⁻³.

Quantum ESPRESSO input file:
```
&SYSTEM
  ibrav = 0, nat = 4, ntyp = 3
/
ATOMIC_SPECIES
Li 6.94 Li.upf
Tm 168.93 Tm.upf
Ru 101.07 Ru.upf
CELL_PARAMETERS angstrom
0.0000 3.4241 3.4241
3.4241 0.0000 3.4241
3.4241 3.4241 0.0000
ATOMIC_POSITIONS angstrom
Li 3.4241 3.4241 3.4241
Tm 1.7121 1.7121 1.7121
Tm 5.1362 5.1362 5.1362
Ru 0.0000 0.0000 0.0000
```